The following is a GGA-PBE calculation of a relaxed ErZnGa crystal, from the Materials Project database.

a b c (Å): 4.4030 4.4030 7.0624
angles (deg): 90.00 90.00 120.00
With the nearest neighbours (Å) after each atom.
Fractional coordinates of all 6 atoms:
Er1 0.0000 0.0000 0.0000  6 Zn 2.96-3.25, 6 Ga 2.98-3.23
Er2 0.0000 0.0000 0.5000  6 Zn 2.96-3.25, 6 Ga 2.98-3.23
Zn1 0.3333 0.6667 0.2138  3 Ga 2.59
Zn2 0.6667 0.3333 0.7138  3 Ga 2.59
Ga1 0.3333 0.6667 0.7810  3 Zn 2.59
Ga2 0.6667 0.3333 0.2810  3 Zn 2.59

## Properties
- calculated formation energy (eV/f.u.) = -1.74
- symmetry = No. 186
- calculated density (g/cm3) = 8.5

=====

The following is a GGA-PBE calculation of a relaxed ErZnGa crystal, from the Materials Project database.

a b c (Å): 4.4071 4.4071 7.0780
angles (deg): 90.00 90.00 120.00
With the nearest neighbours (Å) after each atom.
Fractional coordinates of all 6 atoms:
Er1 0.0000 0.0000 0.0000  6 Zn 3.10, 6 Ga 3.10
Er2 0.0000 0.0000 0.5000  6 Zn 3.10, 6 Ga 3.10
Zn1 0.3333 0.6667 0.2500  3 Ga 2.54
Zn2 0.6667 0.3333 0.7500  3 Ga 2.54
Ga1 0.3333 0.6667 0.7500  3 Zn 2.54
Ga2 0.6667 0.3333 0.2500  3 Zn 2.54

## Properties
- calculated formation energy (eV/f.u.) = -1.68
- symmetry = No. 194
- calculated density (g/cm3) = 8.4